# ScPaRu2

A relaxed ScPaRu2 crystal (PBE, Materials Project).

abc: 4.7254 4.7254 4.7254
angles: 60.00 60.00 60.00
With the nearest neighbours (Å) after each atom.
Fractional coordinates of all 4 atoms:
Sc (0.0000, 0.0000, 0.0000)  8 Ru 2.89
Pa (0.5000, 0.5000, 0.5000)  8 Ru 2.89
Ru (0.2500, 0.2500, 0.2500)  4 Pa 2.89, 4 Sc 2.89
Ru (0.7500, 0.7500, 0.7500)  4 Pa 2.89, 4 Sc 2.89

Output
density	10.642	g cm⁻³
total DFT energy (no corrections)	-9.13	eV per atom
space-group type	Fm-3m (225)